Entry from the Materials Project database: PuSi2Ni2 after structural relaxation (GGA-PBE).

## Properties
- ρ (g/cm³) = 9.2
- uncorrected energy (eV per atom) = -8.01

The structure in extended XYZ format:
```
5
Lattice="1.0392 0.8234 5.4124 -4.1335 -0.4653 3.7081 2.1252 -2.9002 -4.2573" Properties=species:S:1:pos:R:3 pbc="T T T"
Ni 0.8087 -0.9489 2.8577
Ni -1.7777 -1.5932 2.0055
Pu 0.0000 0.0000 0.0000
Si -1.1595 0.1342 3.4178
Si -1.9347 0.2239 5.7027
```